Here is an optimized crystal structure of Sr2Bi2O5 from the Materials Project database. Energies are from PBE.

Structure (POSCAR):
```
Sr2Bi2O5
1.0
-3.9195 0.0000 0.0000
0.0000 0.0000 -6.2803
-1.9598 -7.4543 0.0000
Sr Bi O
2 2 5
Direct
0.1822 0.7500 0.6357 Sr
0.8051 0.2500 0.3897 Sr
0.4318 0.7500 0.1363 Bi
0.5676 0.2500 0.8648 Bi
0.3363 0.9954 0.3273 O
0.6646 0.0122 0.6708 O
0.3363 0.5046 0.3273 O
0.6646 0.4878 0.6708 O
0.0012 0.7500 0.9977 O
```

Summary:
* space-group type: Amm2
* E_form: -2.217 eV per atom
* excess energy over the best structure of this formula in the dataset: 137 meV per atom
* calculated total energy: -52.42 eV for the cell shown

=====

Here is an optimized crystal structure of ZnGeN2 from the Materials Project database. Energies are from PBE.

Structure (POSCAR):
```
ZnGeN2
1.0
1.6068 -2.7830 0.0000
1.6068 2.7830 0.0000
0.0000 0.0000 5.3510
Zn Ge N
1 1 2
Direct
0.6667 0.3333 0.5088 Zn
0.0000 0.0000 0.9768 Ge
0.6667 0.3333 0.1135 N
0.0000 0.0000 0.6409 N
```

Summary:
* space-group type: P3m1
* E_form: -0.177 eV per atom
* calculated total energy: -22.54 eV for the cell shown

=====

Here is an optimized crystal structure of RuW from the Materials Project database. Energies are from PBE.

Structure (POSCAR):
```
RuW
1.0
1.3941 -2.4147 0.0000
1.3941 2.4147 0.0000
0.0000 0.0000 4.4877
Ru W
1 1
Direct
0.3333 0.6667 0.5000 Ru
0.0000 0.0000 0.0000 W
```

Summary:
* space-group type: P-6m2
* E_form: 0.086 eV per atom
* calculated total energy: -22.06 eV for the cell shown

=====

Here is an optimized crystal structure of NaNbSi3Ge3S3O24 from the Materials Project database. Energies are from PBE.

Structure (POSCAR):
```
NaNbSi3Ge3S3O24
1.0
8.6154 0.0638 -0.1812
-4.2529 7.4123 0.1087
-0.4676 0.0524 22.2832
Na Nb Si Ge S O
3 3 9 9 9 72
Direct
0.0091 0.9935 0.9931 Na
0.6608 0.3220 0.8332 Na
0.6734 0.3340 0.3333 Na
0.0048 0.0062 0.6446 Nb
0.0125 0.0100 0.1411 Nb
0.3320 0.6771 0.5275 Nb
0.9932 0.2878 0.2519 Si
0.2934 0.3054 0.7546 Si
0.7230 0.0109 0.7519 Si
0.3950 0.0736 0.5810 Si
0.6721 0.6080 0.5861 Si
0.9469 0.6076 0.0794 Si
0.3987 0.3519 0.0814 Si
0.3341 0.9503 0.9155 Si
0.0295 0.6624 0.4135 Si
0.9837 0.9939 0.3549 Ge
0.0260 0.0170 0.8491 Ge
0.6294 0.3116 0.6936 Ge
0.6900 0.3525 0.1822 Ge
0.6436 0.3302 0.9790 Ge
0.6738 0.3587 0.4826 Ge
0.3052 0.6556 0.0230 Ge
0.2998 0.6477 0.3140 Ge
0.3599 0.6937 0.8068 Ge
0.2946 0.9999 0.2541 S
0.7012 0.7084 0.2519 S
0.0005 0.7089 0.7538 S
0.9457 0.3353 0.5825 S
0.6560 0.0453 0.0824 S
0.6222 0.6691 0.9175 S
0.0399 0.3762 0.9168 S
0.6180 0.9510 0.4134 S
0.3311 0.3742 0.4138 S
0.2095 0.0299 0.3054 O
0.8231 0.7851 0.3070 O
0.9562 0.1562 0.3111 O
0.2184 0.1675 0.8122 O
0.9670 0.7911 0.8067 O
0.8463 0.0352 0.8133 O
0.8125 0.9776 0.6938 O
0.1716 0.2082 0.6943 O
0.0317 0.8212 0.6986 O
0.7854 0.8163 0.1980 O
0.0216 0.1878 0.1947 O
0.1797 0.9632 0.1976 O
0.8766 0.3694 0.6351 O
0.5135 0.1317 0.6425 O
0.6408 0.4867 0.6452 O
0.8781 0.4969 0.1427 O
0.6328 0.1248 0.1377 O
0.5107 0.3692 0.1447 O
0.4585 0.2840 0.0240 O
0.8161 0.5189 0.0209 O
0.6995 0.1610 0.0284 O
0.4831 0.1810 0.5188 O
0.7165 0.5474 0.5231 O
0.8417 0.3049 0.5241 O
0.5414 0.6905 0.9712 O
0.1527 0.4487 0.9744 O
0.3039 0.8287 0.9766 O
0.5411 0.8410 0.4679 O
0.3089 0.4581 0.4668 O
0.1619 0.6951 0.4719 O
0.1180 0.6216 0.3559 O
0.5021 0.8647 0.3583 O
0.3699 0.4939 0.3588 O
0.1204 0.4870 0.8644 O
0.3649 0.8593 0.8574 O
0.5102 0.6359 0.8616 O
0.0232 0.8497 0.4032 O
0.7966 0.9622 0.4089 O
0.1682 0.1977 0.4055 O
0.0232 0.1928 0.9140 O
0.1478 0.9651 0.9091 O
0.8018 0.8258 0.9125 O
0.9659 0.1735 0.5859 O
0.1981 0.0445 0.5903 O
0.8372 0.8089 0.5954 O
0.9638 0.8077 0.0908 O
0.8205 0.0250 0.0905 O
0.1941 0.1741 0.0926 O
0.7137 0.1979 0.7442 O
0.4902 0.3237 0.7483 O
0.8437 0.5319 0.7467 O
0.6819 0.5245 0.2477 O
0.8093 0.3023 0.2425 O
0.4697 0.1584 0.2463 O
0.6376 0.4981 0.9200 O
0.8603 0.3585 0.9234 O
0.5143 0.1523 0.9237 O
0.6389 0.1313 0.4176 O
0.4912 0.3505 0.4182 O
0.8338 0.4814 0.4223 O
0.3795 0.5279 0.0695 O
0.1453 0.6384 0.0737 O
0.5032 0.8676 0.0756 O
0.3731 0.8700 0.5722 O
0.4899 0.6214 0.5719 O
0.1297 0.4921 0.5746 O
0.3129 0.8351 0.2604 O
0.5290 0.6999 0.2604 O
0.1758 0.4806 0.2587 O
0.2961 0.4917 0.7669 O
0.1637 0.6956 0.7611 O
0.5252 0.8392 0.7578 O
```

Summary:
* space-group type: P1
* E_form: -2.304 eV per atom
* calculated total energy: -710.61 eV for the cell shown

=====

Here is an optimized crystal structure of HoB4Os from the Materials Project database. Energies are from PBE.

Structure (POSCAR):
```
HoB4Os
1.0
1.6707 2.7119 1.6000
-1.2058 -2.3983 5.3240
9.9150 -5.8723 -0.3997
Ho B Os
4 16 4
Direct
0.0000 0.6281 0.3497 Ho
0.0000 0.3719 0.6503 Ho
0.0000 0.1281 0.1503 Ho
0.0000 0.8719 0.8497 Ho
0.5000 0.7891 0.1859 B
0.5000 0.2109 0.8141 B
0.5000 0.2891 0.3141 B
0.5000 0.7109 0.6859 B
0.5000 0.8640 0.0300 B
0.5000 0.1360 0.9700 B
0.5000 0.3640 0.4700 B
0.5000 0.6360 0.5300 B
0.5000 0.8872 0.4532 B
0.5000 0.1128 0.5468 B
0.5000 0.3872 0.0468 B
0.5000 0.6128 0.9532 B
0.5000 0.9747 0.3085 B
0.5000 0.0253 0.6915 B
0.5000 0.4747 0.1915 B
0.5000 0.5253 0.8085 B
0.0000 0.6413 0.0935 Os
0.0000 0.3587 0.9065 Os
0.0000 0.1413 0.4065 Os
0.0000 0.8587 0.5935 Os
```

Summary:
* space-group type: Pbam
* E_form: -0.589 eV per atom
* calculated total energy: -184.24 eV for the cell shown

=====

Here is an optimized crystal structure of ScAlS3O12 from the Materials Project database. Energies are from PBE.

Structure (POSCAR):
```
ScAlS3O12
1.0
8.5438 0.0000 0.0000
-4.2719 7.3992 0.0000
0.0000 0.0000 22.2336
Sc Al S O
6 6 18 72
Direct
0.0000 0.0000 0.8520 Sc
0.6667 0.3333 0.9813 Sc
0.3333 0.6667 0.0262 Sc
0.3333 0.6667 0.5226 Sc
0.3333 0.6667 0.3107 Sc
0.3333 0.6667 0.8071 Sc
0.0000 0.0000 0.3523 Al
0.0000 0.0000 0.6446 Al
0.0000 0.0000 0.1478 Al
0.6667 0.3333 0.6856 Al
0.6667 0.3333 0.1887 Al
0.6667 0.3333 0.4811 Al
0.2867 0.0099 0.2482 S
0.7233 0.7133 0.2482 S
0.9901 0.2767 0.2482 S
0.2945 0.2835 0.7444 S
0.9890 0.7055 0.7444 S
0.7165 0.0110 0.7444 S
0.9434 0.3234 0.5851 S
0.3800 0.0566 0.5851 S
0.6766 0.6200 0.5851 S
0.9502 0.6279 0.0889 S
0.6777 0.0498 0.0889 S
0.3721 0.3223 0.0889 S
0.6233 0.6667 0.9167 S
0.0433 0.3767 0.9167 S
0.3333 0.9567 0.9167 S
0.6359 0.9693 0.4167 S
0.3333 0.3641 0.4167 S
0.0307 0.6667 0.4167 S
0.2047 0.0399 0.3027 O
0.8352 0.7953 0.3027 O
0.9601 0.1648 0.3027 O
0.2209 0.1761 0.8000 O
0.9553 0.7791 0.8000 O
0.8239 0.0447 0.8000 O
0.8052 0.9779 0.6929 O
0.1727 0.1948 0.6929 O
0.0221 0.8273 0.6929 O
0.8063 0.8294 0.1952 O
0.0231 0.1937 0.1952 O
0.1706 0.9769 0.1952 O
0.8604 0.3564 0.6382 O
0.4960 0.1396 0.6382 O
0.6436 0.5040 0.6382 O
0.8614 0.5060 0.1404 O
0.6445 0.1386 0.1404 O
0.4940 0.3555 0.1404 O
0.4458 0.2886 0.0333 O
0.8428 0.5542 0.0333 O
0.7114 0.1572 0.0333 O
0.4619 0.1685 0.5306 O
0.7066 0.5381 0.5306 O
0.8315 0.2934 0.5306 O
0.5412 0.6955 0.9709 O
0.1543 0.4588 0.9709 O
0.3045 0.8457 0.9709 O
0.5562 0.8510 0.4701 O
0.2948 0.4438 0.4701 O
0.1490 0.7052 0.4701 O
0.1104 0.6281 0.3633 O
0.5177 0.8896 0.3633 O
0.3719 0.4823 0.3633 O
0.1255 0.4876 0.8625 O
0.3621 0.8745 0.8625 O
0.5124 0.6379 0.8625 O
0.0123 0.8272 0.4048 O
0.8149 0.9877 0.4048 O
0.1728 0.1851 0.4048 O
0.0254 0.1977 0.9099 O
0.1722 0.9746 0.9099 O
0.8023 0.8278 0.9099 O
0.9624 0.1622 0.5943 O
0.1998 0.0376 0.5943 O
0.8378 0.8002 0.5943 O
0.9708 0.8077 0.0982 O
0.8369 0.0292 0.0982 O
0.1923 0.1631 0.0982 O
0.6958 0.1702 0.7351 O
0.4744 0.3042 0.7351 O
0.8298 0.5256 0.7351 O
0.7043 0.5332 0.2391 O
0.8289 0.2957 0.2391 O
0.4668 0.1711 0.2391 O
0.6412 0.5055 0.9234 O
0.8643 0.3588 0.9234 O
0.4945 0.1357 0.9234 O
0.6544 0.1482 0.4285 O
0.4938 0.3456 0.4285 O
0.8518 0.5062 0.4285 O
0.3552 0.4847 0.0819 O
0.1295 0.6448 0.0819 O
0.5153 0.8705 0.0819 O
0.3611 0.8762 0.5775 O
0.5151 0.6389 0.5775 O
0.1238 0.4849 0.5775 O
0.3055 0.8484 0.2558 O
0.5429 0.6945 0.2558 O
0.1516 0.4571 0.2558 O
0.3114 0.4628 0.7514 O
0.1514 0.6886 0.7514 O
0.5372 0.8486 0.7514 O
```

Summary:
* space-group type: P321
* E_form: -2.441 eV per atom
* calculated total energy: -690.72 eV for the cell shown

=====

Here is an optimized crystal structure of CaAcTl2 from the Materials Project database. Energies are from PBE.

Structure (POSCAR):
```
CaAcTl2
1.0
0.0000 4.0480 4.0480
4.0480 0.0000 4.0480
4.0480 4.0480 0.0000
Ca Ac Tl
1 1 2
Direct
0.0000 0.0000 0.0000 Ca
0.5000 0.5000 0.5000 Ac
0.7500 0.7500 0.7500 Tl
0.2500 0.2500 0.2500 Tl
```

Summary:
* space-group type: Fm-3m
* E_form: -0.415 eV per atom
* calculated total energy: -12.51 eV for the cell shown

=====

Here is an optimized crystal structure of Li2N from the Materials Project database. Energies are from PBE.

Structure (POSCAR):
```
Li2N
1.0
2.2305 1.0120 2.3953
3.3159 -0.8086 -0.2962
2.2993 2.4354 -0.7201
Li N
2 1
Direct
0.2500 0.2500 0.2500 Li
0.7500 0.7500 0.7500 Li
0.0000 0.0000 0.0000 N
```

Summary:
* space-group type: Fm-3m
* E_form: -0.184 eV per atom
* calculated total energy: -12.35 eV for the cell shown